Entry from Materials Project: a geometry-optimized Na2Ti4Nb4Si7S5O48 structure (PBE).

Summary:
corrected total energy (MP2020 scheme)	-1696.157	eV for the cell shown
space group	P1, No. 1
formation enthalpy at 0 K	-2.780	eV per atom
total energy	-532.410	eV/f.u.

Cell and atoms, written as POSCAR:
```
Na2Ti4Nb4Si7S5O48
1.0
-5.592 16.242 -4.035
-2.895 -6.928 -4.606
-17.446 -2.233 14.471
O S Ti Si Na Nb
144 15 12 21 6 12
direct
0.483 0.790 0.804
0.586 0.194 0.409
0.583 0.973 0.192
0.912 0.794 0.303
0.903 0.836 0.902
0.824 0.151 0.425
0.603 0.173 0.089
0.011 0.817 0.697
0.259 0.833 0.474
0.180 0.853 0.857
0.323 0.494 0.924
0.435 0.361 0.921
0.101 0.176 0.092
0.848 0.173 0.025
0.417 0.311 0.244
0.934 0.361 0.921
0.249 0.866 0.359
0.487 0.170 0.593
0.583 0.189 0.694
0.983 0.792 0.803
0.730 0.303 0.029
0.925 0.819 0.595
0.343 0.533 0.243
0.602 0.028 0.593
0.408 0.844 0.905
0.753 0.646 0.575
0.151 0.480 0.761
0.420 0.533 0.745
0.075 0.697 0.470
0.179 0.872 0.576
0.679 0.873 0.577
0.656 0.830 0.261
0.346 0.157 0.743
0.091 0.024 0.308
0.899 0.822 0.196
0.848 0.537 0.243
0.728 0.158 0.531
0.594 0.026 0.307
0.911 0.029 0.802
0.818 0.139 0.140
0.511 0.818 0.698
0.077 0.692 0.759
0.679 0.854 0.857
0.564 0.487 0.863
0.912 0.524 0.024
0.425 0.030 0.090
0.744 0.360 0.136
0.912 0.297 0.525
0.321 0.151 0.424
0.739 0.176 0.242
0.820 0.502 0.641
0.421 0.809 0.598
0.070 0.627 0.072
0.409 0.788 0.303
0.064 0.490 0.863
0.483 0.164 0.307
0.744 0.129 0.637
0.227 0.157 0.530
0.082 0.187 0.408
0.251 0.643 0.575
0.907 0.971 0.405
0.228 0.299 0.030
0.920 0.306 0.245
0.576 0.453 0.969
0.081 0.186 0.693
0.685 0.508 0.358
0.435 0.506 0.422
0.763 0.835 0.474
0.243 0.364 0.136
0.075 0.453 0.969
0.411 0.028 0.803
0.988 0.165 0.591
0.757 0.361 0.425
0.264 0.692 0.973
0.395 0.819 0.197
0.653 0.470 0.474
0.577 0.691 0.758
0.749 0.631 0.859
0.761 0.689 0.974
0.769 0.842 0.757
0.411 0.299 0.525
0.511 0.819 0.409
0.987 0.804 0.092
0.151 0.467 0.474
0.100 0.027 0.592
0.257 0.151 0.923
0.426 0.498 0.140
0.568 0.628 0.071
0.064 0.641 0.363
0.562 0.634 0.363
0.426 0.356 0.641
0.489 0.818 0.091
0.589 0.483 0.262
0.319 0.136 0.141
0.251 0.636 0.859
0.011 0.202 0.907
0.652 0.479 0.763
0.920 0.534 0.745
0.152 0.833 0.973
0.512 0.199 0.909
0.926 0.354 0.641
0.771 0.697 0.255
0.093 0.162 0.807
0.348 0.173 0.025
0.011 0.205 0.198
0.570 0.514 0.573
0.576 0.694 0.470
0.082 0.975 0.194
0.077 0.463 0.259
0.413 0.527 0.025
0.582 0.976 0.908
0.085 0.972 0.906
0.935 0.509 0.421
0.512 0.189 0.192
0.846 0.157 0.743
0.927 0.497 0.141
0.592 0.158 0.808
0.269 0.842 0.756
0.739 0.305 0.744
0.983 0.176 0.304
0.069 0.510 0.573
0.348 0.523 0.525
0.851 0.526 0.526
0.243 0.129 0.637
0.237 0.174 0.244
0.897 0.973 0.696
0.755 0.149 0.923
0.012 0.824 0.410
0.318 0.497 0.640
0.822 0.492 0.924
0.253 0.862 0.075
0.151 0.823 0.263
0.680 0.488 0.075
0.268 0.696 0.257
0.178 0.486 0.074
0.239 0.305 0.743
0.749 0.862 0.358
0.397 0.973 0.697
0.751 0.860 0.075
0.922 0.034 0.097
0.402 0.962 0.407
0.179 0.505 0.358
0.651 0.834 0.973
0.255 0.361 0.424
0.189 0.047 0.583
0.858 0.716 0.251
0.690 0.332 0.082
0.002 0.289 0.251
0.356 0.713 0.250
0.524 0.379 0.915
0.023 0.384 0.916
0.024 0.668 0.416
0.502 0.716 0.751
0.191 0.335 0.083
0.524 0.666 0.416
0.003 0.717 0.750
0.691 0.048 0.583
0.856 0.999 0.750
0.357 0.999 0.751
0.338 0.339 0.475
0.834 0.335 0.978
0.178 0.667 0.814
0.178 0.687 0.313
0.007 0.015 0.359
0.503 0.000 0.147
0.001 0.020 0.642
0.838 0.336 0.476
0.508 0.000 0.860
0.670 0.673 0.309
0.676 0.666 0.814
0.338 0.339 0.979
0.674 0.390 0.414
0.474 0.623 0.083
0.310 0.957 0.418
0.507 0.293 0.249
0.671 0.957 0.914
0.342 0.057 0.082
0.175 0.957 0.915
0.314 0.666 0.917
0.974 0.607 0.081
0.809 0.660 0.918
0.141 0.289 0.750
0.142 0.996 0.253
0.974 0.335 0.582
0.475 0.343 0.580
0.641 0.993 0.250
0.642 0.288 0.753
0.811 0.955 0.414
0.838 0.054 0.081
0.337 0.621 0.581
0.841 0.628 0.581
0.171 0.383 0.413
0.331 0.328 0.336
0.495 0.989 0.004
0.828 0.330 0.839
0.995 0.999 0.498
0.329 0.331 0.840
0.827 0.323 0.338
0.502 0.017 0.641
0.170 0.653 0.524
0.333 0.343 0.687
0.833 0.323 0.188
0.174 0.690 0.025
0.006 0.001 0.861
0.834 0.347 0.688
0.338 0.322 0.191
0.669 0.686 0.025
0.505 0.021 0.359
0.673 0.657 0.523
0.002 0.988 0.141
```